1.
Compound: FeOF
Source: Materials Project
Functional: GGA+U
Structure: relaxed

Calculated values
Size of the total moment (μB per cell): 30.0
Calculated formation energy (eV/atom): -2.05

Cell: 6.7152 3.0990 10.6110 Å, 90.00 108.34 90.00°
Atoms (fractional coordinates):
Fe (0.0000, 0.0000, 0.0000)
Fe (0.1432, 0.5000, 0.3600)
Fe (0.3037, 0.0000, 0.6669)
Fe (0.4752, 0.5000, 0.0262)
Fe (0.6677, 0.0000, 0.3337)
Fe (0.8531, 0.5000, 0.6931)
O (0.0213, 0.0000, 0.6824)
O (0.2703, 0.5000, 0.5528)
O (0.2970, 0.0000, 0.0142)
O (0.5950, 0.5000, 0.2193)
O (0.9188, 0.5000, 0.8860)
O (0.9658, 0.0000, 0.3507)
F (0.0592, 0.5000, 0.1473)
F (0.3561, 0.0000, 0.3480)
F (0.4000, 0.5000, 0.8138)
F (0.6303, 0.0000, 0.6826)
F (0.6900, 0.0000, 0.0174)
F (0.7169, 0.5000, 0.4805)

2.
Compound: MnFe4Bi5O15
Source: Materials Project
Functional: GGA+U
Structure: relaxed

Calculated values
Size of the total moment (μB per cell): 48.0
ΔE to the lowest computed polymorph (meV per atom): 0
Calculated formation energy (eV/atom): -1.67

Cell: 5.7454 9.7882 12.5197 Å, 97.83 101.84 106.06°
Atoms (fractional coordinates):
Mn (0.0000, 0.0000, 0.0000)
Mn (0.4992, 0.5010, 0.5006)
Fe (0.0924, 0.9003, 0.2979)
Fe (0.1960, 0.8013, 0.5984)
Fe (0.2894, 0.7007, 0.8979)
Fe (0.3929, 0.6006, 0.1982)
Fe (0.5927, 0.4004, 0.7969)
Fe (0.6984, 0.3031, 0.0993)
Fe (0.7907, 0.2010, 0.3980)
Fe (0.8897, 0.0996, 0.6981)
Bi (0.0787, 0.3558, 0.9308)
Bi (0.1837, 0.2578, 0.2323)
Bi (0.2745, 0.1565, 0.5308)
Bi (0.3809, 0.0575, 0.8311)
Bi (0.4852, 0.9610, 0.1331)
Bi (0.5803, 0.8566, 0.4312)
Bi (0.6807, 0.7566, 0.7339)
Bi (0.7722, 0.6556, 0.0280)
Bi (0.8840, 0.5583, 0.3313)
Bi (0.9866, 0.4577, 0.6291)
O (0.0184, 0.0967, 0.8707)
O (0.0280, 0.0841, 0.3475)
O (0.0454, 0.9276, 0.6820)
O (0.0602, 0.9072, 0.1364)
O (0.0927, 0.4249, 0.1295)
O (0.1364, 0.3470, 0.4916)
O (0.2173, 0.8860, 0.9467)
O (0.2227, 0.8971, 0.4690)
O (0.2398, 0.7264, 0.2802)
O (0.2631, 0.7039, 0.7371)
O (0.2899, 0.2240, 0.7298)
O (0.3780, 0.1603, 0.0944)
O (0.4142, 0.6956, 0.0687)
O (0.4350, 0.5214, 0.8795)
O (0.4354, 0.6864, 0.5469)
O (0.4617, 0.5069, 0.3412)
O (0.4877, 0.0249, 0.3261)
O (0.5604, 0.9543, 0.6904)
O (0.6056, 0.4955, 0.6646)
O (0.6290, 0.4868, 0.1491)
O (0.6315, 0.3280, 0.4789)
O (0.6632, 0.3047, 0.9382)
O (0.6678, 0.8148, 0.9243)
O (0.7604, 0.7553, 0.2894)
O (0.8251, 0.2963, 0.2694)
O (0.8275, 0.2857, 0.7474)
O (0.8476, 0.1256, 0.0784)
O (0.8539, 0.1001, 0.5370)
O (0.9073, 0.6264, 0.5278)
O (0.9542, 0.5555, 0.8860)

3.
Compound: Li9Mn2Co5O16
Source: Materials Project
Functional: GGA+U
Structure: relaxed

Calculated values
Size of the total moment (μB per cell): 12.6
ΔE to the lowest computed polymorph (meV per atom): 71
Calculated formation energy (eV/atom): -1.79

Cell: 2.9893 9.7842 10.1270 Å, 77.38 89.03 87.92°
Atoms (fractional coordinates):
Li (0.0000, 0.0000, 0.0000)
Li (0.0011, 0.4995, 0.7501)
Li (0.0056, 0.4976, 0.2549)
Li (0.0113, 0.7518, 0.3848)
Li (0.4901, 0.7449, 0.1312)
Li (0.4963, 0.2485, 0.8738)
Li (0.4969, 0.7503, 0.6151)
Li (0.5080, 0.2531, 0.3826)
Li (0.9886, 0.9887, 0.5005)
Mn (0.4895, 0.9892, 0.2564)
Mn (0.9896, 0.2496, 0.1231)
Co (0.9997, 0.2498, 0.6252)
Co (0.0047, 0.7482, 0.8757)
Co (0.4982, 0.9987, 0.7511)
Co (0.5028, 0.5079, 0.4976)
Co (0.5077, 0.5008, 0.0009)
O (0.0010, 0.8870, 0.1981)
O (0.0098, 0.8720, 0.6993)
O (0.0312, 0.6108, 0.5602)
O (0.0445, 0.6241, 0.0555)
O (0.4505, 0.1237, 0.0733)
O (0.4905, 0.3775, 0.6711)
O (0.4945, 0.8761, 0.9288)
O (0.4998, 0.6066, 0.3324)
O (0.5012, 0.8826, 0.4278)
O (0.5043, 0.1233, 0.5745)
O (0.5150, 0.6241, 0.8278)
O (0.5306, 0.3742, 0.1781)
O (0.9663, 0.3798, 0.9459)
O (0.9665, 0.3715, 0.4495)
O (0.9772, 0.1116, 0.3002)
O (0.9859, 0.1278, 0.8031)

4.
Compound: Na3VF6
Source: Materials Project
Functional: GGA+U
Structure: relaxed

Calculated values
Size of the total moment (μB per cell): 2.0
ΔE to the lowest computed polymorph (meV per atom): 118
Calculated formation energy (eV/atom): -2.95

Cell: 5.8343 5.8343 5.8343 Å, 60.00 60.00 60.00°
Atoms (fractional coordinates):
Na (0.0000, 0.0000, 0.0000)
Na (0.2500, 0.2500, 0.2500)
Na (0.7500, 0.7500, 0.7500)
V (0.5000, 0.5000, 0.5000)
F (0.2647, 0.2647, 0.7353)
F (0.2647, 0.7353, 0.2647)
F (0.2647, 0.7353, 0.7353)
F (0.7353, 0.2647, 0.2647)
F (0.7353, 0.2647, 0.7353)
F (0.7353, 0.7353, 0.2647)

5.
Compound: Na2U2MnH8C12O28
Source: Materials Project
Functional: GGA+U
Structure: relaxed

Calculated values
Size of the total moment (μB per cell): 9.0
Calculated formation energy (eV/atom): -1.79

Cell: 6.5267 7.9449 12.9350 Å, 75.40 84.68 68.39°
Atoms (fractional coordinates):
Na (0.2454, 0.3386, 0.2912)
Na (0.7546, 0.6614, 0.7088)
U (0.2646, 0.8381, 0.3052)
U (0.7354, 0.1619, 0.6948)
Mn (0.0000, 0.5000, 0.0000)
H (0.1623, 0.6984, 0.8181)
H (0.2408, 0.4873, 0.8069)
H (0.3242, 0.5555, 0.1033)
H (0.4284, 0.3527, 0.0780)
H (0.5716, 0.6473, 0.9220)
H (0.6758, 0.4445, 0.8967)
H (0.7592, 0.5127, 0.1931)
H (0.8377, 0.3016, 0.1819)
C (0.0253, 0.0891, 0.4789)
C (0.1909, 0.2476, 0.7238)
C (0.2006, 0.0851, 0.0613)
C (0.2833, 0.0434, 0.7183)
C (0.3032, 0.8837, 0.0451)
C (0.4738, 0.4329, 0.4748)
C (0.5262, 0.5671, 0.5252)
C (0.6968, 0.1163, 0.9549)
C (0.7167, 0.9566, 0.2817)
C (0.7994, 0.9149, 0.9387)
C (0.8091, 0.7524, 0.2762)
C (0.9747, 0.9109, 0.5211)
O (0.0160, 0.6727, 0.2764)
O (0.0436, 0.7881, 0.4678)
O (0.1349, 0.0990, 0.3926)
O (0.1366, 0.2232, 0.9835)
O (0.1456, 0.9633, 0.7244)
O (0.1797, 0.5708, 0.8567)
O (0.1888, 0.0933, 0.1594)
O (0.2915, 0.4444, 0.0996)
O (0.3243, 0.7590, 0.1345)
O (0.3303, 0.3223, 0.7300)
O (0.3570, 0.8522, 0.9553)
O (0.3861, 0.5012, 0.3823)
O (0.4804, 0.7326, 0.4723)
O (0.4900, 0.9712, 0.7092)
O (0.5100, 0.0288, 0.2908)
O (0.5196, 0.2674, 0.5277)
O (0.6139, 0.4988, 0.6177)
O (0.6430, 0.1478, 0.0447)
O (0.6697, 0.6777, 0.2700)
O (0.6757, 0.2410, 0.8655)
O (0.7085, 0.5556, 0.9004)
O (0.8112, 0.9067, 0.8406)
O (0.8203, 0.4292, 0.1433)
O (0.8544, 0.0367, 0.2756)
O (0.8634, 0.7768, 0.0165)
O (0.8651, 0.9010, 0.6074)
O (0.9564, 0.2119, 0.5322)
O (0.9840, 0.3273, 0.7236)

6.
Compound: MgSi2WO6
Source: Materials Project
Functional: GGA+U
Structure: relaxed

Calculated values
Size of the total moment (μB per cell): 32.0
ΔE to the lowest computed polymorph (meV per atom): 0
Calculated formation energy (eV/atom): -2.58

Cell: 5.4023 18.9734 9.3996 Å, 90.00 90.00 90.00°
Atoms (fractional coordinates):
Mg (0.1111, 0.1282, 0.1487)
Mg (0.1111, 0.3718, 0.6487)
Mg (0.3889, 0.6282, 0.1487)
Mg (0.3889, 0.8718, 0.6487)
Mg (0.6111, 0.1282, 0.3513)
Mg (0.6111, 0.3718, 0.8513)
Mg (0.8889, 0.6282, 0.3513)
Mg (0.8889, 0.8718, 0.8513)
Si (0.0675, 0.7283, 0.6703)
Si (0.0675, 0.7717, 0.1703)
Si (0.2340, 0.0188, 0.8376)
Si (0.2340, 0.4812, 0.3376)
Si (0.2660, 0.5188, 0.8376)
Si (0.2660, 0.9812, 0.3376)
Si (0.4325, 0.2283, 0.6703)
Si (0.4325, 0.2717, 0.1703)
Si (0.5675, 0.7283, 0.8297)
Si (0.5675, 0.7717, 0.3297)
Si (0.7340, 0.0188, 0.6624)
Si (0.7340, 0.4812, 0.1624)
Si (0.7660, 0.5188, 0.6624)
Si (0.7660, 0.9812, 0.1624)
Si (0.9325, 0.2283, 0.8297)
Si (0.9325, 0.2717, 0.3297)
W (0.1287, 0.1233, 0.5283)
W (0.1287, 0.3767, 0.0283)
W (0.3713, 0.6233, 0.5283)
W (0.3713, 0.8767, 0.0283)
W (0.6287, 0.1233, 0.9717)
W (0.6287, 0.3767, 0.4717)
W (0.8713, 0.6233, 0.9717)
W (0.8713, 0.8767, 0.4717)
O (0.0374, 0.5422, 0.7290)
O (0.0374, 0.9578, 0.2290)
O (0.0429, 0.6916, 0.5155)
O (0.0429, 0.8084, 0.0155)
O (0.0799, 0.6876, 0.1921)
O (0.0799, 0.8124, 0.6921)
O (0.1540, 0.1945, 0.7237)
O (0.1540, 0.3055, 0.2237)
O (0.2202, 0.5622, 0.9847)
O (0.2202, 0.9378, 0.4847)
O (0.2301, 0.5684, 0.3396)
O (0.2301, 0.9316, 0.8396)
O (0.2699, 0.0684, 0.3396)
O (0.2699, 0.4316, 0.8396)
O (0.2798, 0.0622, 0.9847)
O (0.2798, 0.4378, 0.4847)
O (0.3460, 0.6945, 0.7237)
O (0.3460, 0.8055, 0.2237)
O (0.4201, 0.1876, 0.1921)
O (0.4201, 0.3124, 0.6921)
O (0.4571, 0.1916, 0.5155)
O (0.4571, 0.3084, 0.0155)
O (0.4626, 0.0422, 0.7290)
O (0.4626, 0.4578, 0.2290)
O (0.5374, 0.5422, 0.7710)
O (0.5374, 0.9578, 0.2710)
O (0.5429, 0.6916, 0.9845)
O (0.5429, 0.8084, 0.4845)
O (0.5799, 0.6876, 0.3079)
O (0.5799, 0.8124, 0.8079)
O (0.6540, 0.1945, 0.7763)
O (0.6540, 0.3055, 0.2763)
O (0.7202, 0.5622, 0.5153)
O (0.7202, 0.9378, 0.0153)
O (0.7301, 0.5684, 0.1604)
O (0.7301, 0.9316, 0.6604)
O (0.7699, 0.0684, 0.1604)
O (0.7699, 0.4316, 0.6604)
O (0.7798, 0.0622, 0.5153)
O (0.7798, 0.4378, 0.0153)
O (0.8460, 0.6945, 0.7763)
O (0.8460, 0.8055, 0.2763)
O (0.9201, 0.1876, 0.3079)
O (0.9201, 0.3124, 0.8079)
O (0.9571, 0.1916, 0.9845)
O (0.9571, 0.3084, 0.4845)
O (0.9626, 0.0422, 0.7710)
O (0.9626, 0.4578, 0.2710)

Question: Which of these has the highest calculated formation energy?
Answer: MnFe4Bi5O15